[1]
The following is a r2SCAN calculation of a relaxed structure of PrFe4P12, from the Materials Project.

Output
Calculated formation energy   -0.52 eV/atom
M_tot   0.00 μB per cell

Lattice parameters (Å, degrees): 7.7863 7.7863 7.7863 90.00 90.00 90.00
Closest atoms and distances in Å follow each position.
Space group Im-3 (No. 204)
Unique sites:
Pr (0.0000, 0.0000, 0.0000) x2  12 P 3.00
Fe (0.2500, 0.2500, 0.2500) x8  6 P 2.24
P (0.0000, 0.1509, 0.3540) x24  2 Fe 2.24, 2 P 2.27-2.35


[2]
The following is a r2SCAN calculation of a relaxed structure of Li2SO4, from the Materials Project.

Output
Calculated formation energy   -2.08 eV/atom
M_tot   0.00 μB per cell

Lattice parameters (Å, degrees): 8.3878 4.9208 8.2003 90.00 107.80 90.00
Closest atoms and distances in Å follow each position.
Space group P2_1/c (No. 14)
Unique sites:
Li (0.1213, 0.0702, 0.3017) x4  4 O 1.91-1.96
Li (0.3711, 0.0747, 0.0615) x4  4 O 1.91-1.96
S (0.2485, 0.5645, 0.1869) x4  4 O 1.47-1.48
O (0.1001, 0.0528, 0.7220) x4  1 S 1.48
O (0.2254, 0.6405, 0.6586) x4  1 S 1.47
O (0.2726, 0.0645, 0.5341) x4  1 S 1.47
O (0.3954, 0.5078, 0.3360) x4  1 S 1.47


[3]
The following is a r2SCAN calculation of a relaxed structure of CoNiP, from the Materials Project.

Output
Calculated formation energy   -0.51 eV/atom
M_tot   0.00 μB per cell

Lattice parameters (Å, degrees): 5.7471 5.7471 3.3140 90.00 90.00 120.00
Closest atoms and distances in Å follow each position.
Space group P-62m (No. 189)
Unique sites:
Co (0.0000, 0.7384, 0.0000) x3  4 P 2.15-2.24
Ni (0.0000, 0.3951, 0.5000) x3  5 P 2.27-2.42
P (0.0000, 0.0000, 0.5000) x1  6 Co 2.24, 3 Ni 2.27
P (0.3333, 0.6667, 0.0000) x2  3 Co 2.15


[4]
The following is a r2SCAN calculation of a relaxed structure of BaTm2Te4, from the Materials Project.

Output
Calculated formation energy   -1.79 eV/atom
M_tot   0.00 μB per cell

Lattice parameters (Å, degrees): 13.7140 4.4404 16.1187 90.00 90.00 90.00
Closest atoms and distances in Å follow each position.
Space group Pnma (No. 62)
Unique sites:
Ba (0.2385, 0.2500, 0.1698) x4  8 Te 3.55-3.73
Tm (0.0581, 0.2500, 0.3900) x4  6 Te 3.01-3.09
Tm (0.0811, 0.2500, 0.9033) x4  6 Te 3.02-3.10
Te (0.0277, 0.7500, 0.7844) x4  3 Tm 3.02-3.05
Te (0.0891, 0.2500, 0.5751) x4  3 Tm 3.01-3.05
Te (0.1249, 0.7500, 0.0278) x4  3 Tm 3.03-3.05
Te (0.2041, 0.7500, 0.3424) x4  3 Tm 3.09-3.10


[5]
The following is a r2SCAN calculation of a relaxed structure of Ba3P2, from the Materials Project.

Output
Calculated formation energy   -1.14 eV/atom
M_tot   0.00 μB per cell

Lattice parameters (Å, degrees): 9.8975 9.8975 29.6480 90.00 90.00 90.00
Closest atoms and distances in Å follow each position.
Space group I-42d (No. 122)
Unique sites:
Ba (0.0604, 0.6890, 0.1853) x16  4 P 3.19-3.56
Ba (0.0674, 0.6900, 0.8599) x16  3 P 3.14-3.24
Ba (0.0846, 0.6631, 0.5189) x16  5 P 3.26-3.58, 1 Ba 3.64
P (0.0000, 0.0000, 0.1647) x8  6 Ba 3.19-3.56
P (0.1218, 0.7500, 0.6250) x8  6 Ba 3.24-3.60
P (0.1391, 0.7389, 0.9618) x16  6 Ba 3.14-3.41


[6]
The following is a r2SCAN calculation of a relaxed structure of Na2US3, from the Materials Project.

Output
Calculated formation energy   -1.72 eV/atom
M_tot   8.00 μB per cell

Lattice parameters (Å, degrees): 6.9801 12.0801 6.9688 90.00 109.67 90.00
Closest atoms and distances in Å follow each position.
Space group C2/m (No. 12)
Unique sites:
Na (0.0000, 0.0000, 0.0000) x2  6 S 2.90
Na (0.0000, 0.1600, 0.5000) x4  6 S 2.86-3.01
Na (0.0000, 0.5000, 0.5000) x2  6 S 2.81-2.99
U (0.0000, 0.3327, 0.0000) x4  6 S 2.70-2.72
S (0.2226, 0.5000, 0.2310) x4  2 U 2.72, 4 Na 2.81-2.92
S (0.2451, 0.3223, 0.7707) x8  2 U 2.70-2.71, 4 Na 2.86-3.01


[7]
The following is a r2SCAN calculation of a relaxed structure of CdHgSe2, from the Materials Project.

Output
Calculated formation energy   -0.49 eV/atom
M_tot   0.00 μB per cell

Lattice parameters (Å, degrees): 4.3642 4.3642 6.1592 90.00 90.00 90.00
Closest atoms and distances in Å follow each position.
Space group P-4m2 (No. 115)
Unique sites:
Cd (0.0000, 0.0000, 0.0000) x1  4 Se 2.66
Hg (0.5000, 0.5000, 0.5000) x1  4 Se 2.68
Se (0.0000, 0.5000, 0.2470) x2  2 Cd 2.66, 2 Hg 2.68


[8]
The following is a r2SCAN calculation of a relaxed structure of ErCl3, from the Materials Project.

Output
Calculated formation energy   -2.43 eV/atom
M_tot   0.00 μB per cell

Lattice parameters (Å, degrees): 9.6301 9.6301 3.5326 90.00 90.00 120.00
Closest atoms and distances in Å follow each position.
Space group P6_3/mmc (No. 194)
Unique sites:
Er (0.3333, 0.6667, 0.2500) x2  6 Cl 2.63
Cl (0.2167, 0.4335, 0.7500) x6  2 Er 2.63


Number 1: V 472.1 Å³ per cell. Number 2: V 322.3 Å³ per cell. Number 3: V 94.8 Å³ per cell. Number 4: V 981.6 Å³ per cell. Number 5: V 2904.3 Å³ per cell. Number 6: V 553.3 Å³ per cell. Number 7: V 117.3 Å³ per cell. Number 8: V 283.7 Å³ per cell.